VASP calculation (meta-GGA r2SCAN) on a relaxed structure of HfFeCl6.

Cell and atoms, written as POSCAR:
```
HfFeCl6
1.0
3.1363 -5.4432 -0.0090
3.1363 5.4432 -0.0090
-0.0437 0.0000 12.1612
Hf Fe Cl
2 2 12
Cartesian
3.1254 1.7858 3.0313 Hf
3.1035 -1.7858 9.1119 Hf
3.1254 -5.4429 3.0313 Fe
3.1035 5.4429 9.1119 Fe
5.1444 1.6969 1.6325 Cl
2.2342 3.6151 1.6424 Cl
2.0298 0.1513 1.6028 Cl
1.1063 1.6969 4.4301 Cl
2.0081 -0.1511 7.6837 Cl
2.2122 -3.6151 7.7231 Cl
5.1226 -1.6970 7.7131 Cl
4.1989 -0.1511 10.5402 Cl
3.9948 -3.6151 10.5008 Cl
1.0844 -1.6970 10.5107 Cl
4.2209 0.1513 4.4598 Cl
4.0165 3.6151 4.4202 Cl
```

## Properties
- formation energy (eV per atom) = -1.66
- total moment (μB/cell) = 8.0

***

VASP calculation (meta-GGA r2SCAN) on a relaxed structure of LiFeCl4.

Cell and atoms, written as POSCAR:
```
LiFeCl4
1.0
6.4782 0.0000 0.0000
0.0000 7.0590 -0.0238
0.0000 0.7492 12.7868
Li Fe Cl
4 4 16
Cartesian
3.1537 6.7010 11.1021 Li
3.3245 1.1072 1.6608 Li
6.3928 1.4818 8.0542 Li
0.0854 6.3264 4.7087 Li
1.1438 5.4197 7.6737 Fe
5.3344 2.3885 5.0892 Fe
4.3829 2.7631 11.4826 Fe
2.0953 5.0451 1.2803 Fe
1.1251 3.5568 8.8035 Cl
5.3531 4.2514 3.9595 Cl
4.3642 4.6260 10.3529 Cl
2.1140 3.1822 2.4101 Cl
2.0617 7.0992 8.8024 Cl
4.4165 0.7090 3.9605 Cl
5.3008 1.0836 10.3539 Cl
1.1774 6.7246 2.4090 Cl
1.1694 5.5872 12.0969 Cl
5.3088 2.2210 0.6660 Cl
4.4085 2.5956 7.0594 Cl
2.0697 5.2126 5.7035 Cl
5.5849 6.1739 7.2099 Cl
0.8933 1.6343 5.5531 Cl
2.3458 2.0089 11.9465 Cl
4.1324 5.7993 0.8165 Cl
```

## Properties
- formation energy (eV per atom) = -1.34
- total moment (μB/cell) = 20.0

***

VASP calculation (meta-GGA r2SCAN) on a relaxed structure of NaFeCl4.

Cell and atoms, written as POSCAR:
```
NaFeCl4
1.0
6.2136 0.0000 0.0000
0.0000 9.8124 0.0000
0.0000 0.0000 10.1972
Na Fe Cl
4 4 16
Cartesian
0.3982 5.2533 6.4888 Na
2.7086 4.5591 1.3902 Na
5.8154 0.3471 8.8070 Na
3.5051 9.4654 3.7084 Na
5.9765 7.2585 2.1577 Fe
2.8697 7.4602 8.0395 Fe
0.2371 2.3522 2.9409 Fe
3.3439 2.5540 7.2563 Fe
2.0202 5.6379 8.9646 Cl
1.0867 4.1745 3.8660 Cl
4.1935 0.7317 6.3312 Cl
5.1270 9.0807 1.2326 Cl
1.1372 2.5176 7.2920 Cl
4.2440 2.3886 2.9052 Cl
5.0764 7.4238 8.0038 Cl
1.9696 7.2948 2.1934 Cl
4.0128 4.3033 6.1176 Cl
0.9060 0.6029 4.0796 Cl
2.2008 9.2095 9.1782 Cl
5.3076 5.5092 1.0190 Cl
5.1309 7.2055 4.1871 Cl
2.0241 7.5132 6.0101 Cl
1.0827 2.2993 0.9115 Cl
4.1895 2.6070 9.2857 Cl
```

## Properties
- formation energy (eV per atom) = -1.36
- total moment (μB/cell) = 20.0

***

VASP calculation (meta-GGA r2SCAN) on a relaxed structure of Na6FeCl8.

Cell and atoms, written as POSCAR:
```
Na6FeCl8
1.0
0.0000 5.5499 5.5499
5.5499 0.0000 5.5499
5.5499 5.5499 0.0000
Na Fe Cl
6 1 8
Cartesian
0.0000 2.7750 2.7750 Na
5.5499 2.7750 2.7750 Na
2.7750 0.0000 2.7750 Na
2.7750 5.5499 2.7750 Na
2.7750 2.7750 0.0000 Na
2.7750 2.7750 5.5499 Na
0.0000 0.0000 0.0000 Fe
2.7750 2.7750 2.7750 Cl
8.3249 8.3249 8.3249 Cl
2.5016 5.5499 5.5499 Cl
8.5983 5.5499 5.5499 Cl
5.5499 2.5016 5.5499 Cl
5.5499 8.5983 5.5499 Cl
5.5499 5.5499 2.5016 Cl
5.5499 5.5499 8.5983 Cl
```

## Properties
- formation energy (eV per atom) = -1.81
- total moment (μB/cell) = 4.0

***

VASP calculation (meta-GGA r2SCAN) on a relaxed structure of FeClO.

Cell and atoms, written as POSCAR:
```
FeClO
1.0
3.2769 0.0000 0.0000
0.0000 3.8481 0.0000
0.0000 0.0000 8.1780
Fe Cl O
2 2 2
Cartesian
1.6385 0.0000 0.8934 Fe
0.0000 1.9241 7.2846 Fe
0.0000 0.0000 2.6135 Cl
1.6385 1.9241 5.5645 Cl
0.0000 0.0000 7.7933 O
1.6385 1.9241 0.3847 O
```

## Properties
- formation energy (eV per atom) = -1.33
- total moment (μB/cell) = 10.0

***

VASP calculation (meta-GGA r2SCAN) on a relaxed structure of FeTe3ClO7.

Cell and atoms, written as POSCAR:
```
FeTe3ClO7
1.0
7.3558 0.0000 0.0000
0.0000 10.8893 -0.0248
0.0000 3.9872 10.1569
Fe Te Cl O
4 12 4 28
Cartesian
2.7268 9.9680 0.8972 Fe
6.4047 2.9149 4.1565 Fe
4.6290 4.9085 9.2350 Fe
0.9511 11.9616 5.9757 Fe
0.0602 10.8804 2.6950 Te
3.7381 2.0025 2.3587 Te
7.2957 3.9961 7.4372 Te
3.6177 12.8740 7.7734 Te
3.4833 9.9891 4.4234 Te
7.1612 2.8938 0.6304 Te
3.8725 4.8874 5.7088 Te
0.1946 11.9827 9.5018 Te
4.4196 7.0731 0.8223 Te
0.7416 5.8098 4.2314 Te
2.9363 7.8034 9.3099 Te
6.6142 9.0667 5.9007 Te
1.6128 6.0095 1.1908 Cl
5.2907 6.8734 3.8629 Cl
5.7430 8.8670 8.9414 Cl
2.0651 8.0031 6.2693 Cl
0.0804 12.0946 4.1500 O
3.7583 0.7883 0.9038 O
7.2754 2.7819 5.9822 O
3.5975 14.0882 9.2284 O
1.9203 10.4955 2.6643 O
5.5982 2.3874 2.3894 O
5.4355 4.3810 7.4679 O
1.7576 12.4891 7.7427 O
4.4819 11.2475 3.4152 O
0.8040 1.6354 1.6385 O
2.8739 3.6290 6.7170 O
6.5518 13.2411 8.4936 O
1.0559 9.3457 0.3198 O
4.7338 3.5372 4.7339 O
6.2999 5.5308 9.8124 O
2.6220 11.3394 5.3982 O
3.6999 8.5888 1.6578 O
0.0220 4.2942 3.3959 O
3.6559 6.2878 8.4744 O
7.3338 10.5824 6.7363 O
6.1111 7.9833 0.6706 O
2.4332 4.8996 4.3831 O
1.2447 6.8932 9.4616 O
4.9226 9.9769 5.7491 O
3.7456 11.4216 9.2456 O
0.0677 5.4485 5.9650 O
3.6102 3.4549 0.8865 O
7.2881 9.4280 4.1672 O
```

## Properties
- formation energy (eV per atom) = -1.20
- total moment (μB/cell) = 20.0